LiMnCo3O8: optimized geometry, PBE with a Hubbard U.

Output
* volume: 10.7 Å³/atom
* energy above the lowest structure with this stoichiometry: 0.0 meV per atom
* total magnetization: 2.00 μB per formula unit
* energy of formation from the pure elements: -19.096 eV per formula unit

Cell lengths 5.6700, 5.9840, 9.8438 Å; angles 106.01, 90.00, 118.28 degrees
Last column: nearest neighbours and their distance in Å.
Element x y z (fractional)
Li 0.2500 0.4999 0.7499  6 O 2.21
Li 0.7500 0.5001 0.2501  6 O 2.21
O 0.4005 0.8010 0.6362  2 Co 1.90, 1 Mn 1.94
O 0.0996 0.1993 0.8637  2 Co 1.91, 1 Mn 1.95
O 0.3513 0.1974 0.1193  2 Co 1.89-1.91, 1 Mn 1.94
O 0.3460 0.1970 0.6193  2 Co 1.89-1.91, 1 Mn 1.93
O 0.5995 0.1990 0.3638  2 Co 1.90, 1 Mn 1.94
O 0.1490 0.8030 0.3807  2 Co 1.89-1.91, 1 Mn 1.93
O 0.9004 0.8007 0.1363  2 Co 1.91, 1 Mn 1.95
O 0.8510 0.1970 0.6193  2 Co 1.89-1.91, 1 Mn 1.93
O 0.1538 0.8025 0.8807  2 Co 1.89-1.91, 1 Mn 1.94
O 0.0932 0.1865 0.3624  3 Co 1.88-1.91
O 0.8462 0.1974 0.1193  2 Co 1.89-1.91, 1 Mn 1.94
O 0.5935 0.1869 0.8625  3 Co 1.88-1.91
O 0.9068 0.8135 0.6376  3 Co 1.88-1.91
O 0.4066 0.8131 0.1375  3 Co 1.88-1.91
O 0.6540 0.8030 0.3807  2 Co 1.89-1.91, 1 Mn 1.93
O 0.6487 0.8025 0.8807  2 Co 1.89-1.91, 1 Mn 1.94
Co 0.7498 0.0000 0.2500  6 O 1.88-1.91
Co 0.5000 0.0000 0.0000  6 O 1.91
Co 0.2501 0.0000 0.2500  6 O 1.88-1.91
Co 0.2502 0.0000 0.7500  6 O 1.88-1.91
Co 0.0000 0.0000 0.5000  6 O 1.91
Co 0.7499 0.0000 0.7500  6 O 1.88-1.91
Mn 0.5000 0.0000 0.5000  6 O 1.93-1.94
Mn 0.0000 0.0000 0.0000  6 O 1.94-1.95

---

Li2MnCoO4: optimized geometry, PBE with a Hubbard U.

Output
* symmetry: R-3m (166)
* volume: 9.2 Å³/atom
* energy above the lowest structure with this stoichiometry: 79.7 meV per atom
* total magnetization: 4.00 μB per formula unit
* energy of formation from the pure elements: -14.845 eV per formula unit

Cell lengths 9.7570, 9.7570, 9.7570 Å; angles 17.58, 17.58, 17.58 degrees
Last column: nearest neighbours and their distance in Å.
Element x y z (fractional)
O 0.8716 0.8716 0.8716  3 Mn 2.04, 3 Li 2.19
O 0.6287 0.6287 0.6287  3 Co 2.04, 3 Li 2.13
O 0.3713 0.3713 0.3713  3 Co 2.04, 3 Li 2.13
O 0.1284 0.1284 0.1284  3 Mn 2.04, 3 Li 2.19
Mn 0.5000 0.5000 0.5000  6 O 2.04
Co 0.0000 0.0000 0.0000  6 O 2.04
Li 0.7483 0.7483 0.7483  6 O 2.13-2.19
Li 0.2517 0.2517 0.2517  6 O 2.13-2.19

---

Li7Mn4CoO12: optimized geometry, PBE with a Hubbard U.

Output
* symmetry: Cm (8)
* volume: 9.1 Å³/atom
* energy above the lowest structure with this stoichiometry: 42.3 meV per atom
* total magnetization: 16.00 μB per formula unit
* energy of formation from the pure elements: -49.005 eV per formula unit

Cell lengths 7.9696, 7.9696, 11.7310 Å; angles 56.13, 56.13, 20.81 degrees
Last column: nearest neighbours and their distance in Å.
Element x y z (fractional)
O 0.1716 0.1716 0.3843  2 Co 1.95, 1 Li 2.08
O 0.8133 0.8133 0.8869  1 Mn 1.82, 2 Li 2.00
O 0.5094 0.5094 0.1071  3 Mn 1.98-2.11, 2 Li 2.16
O 0.8530 0.8530 0.1133  1 Mn 1.82, 2 Li 2.01
O 0.4972 0.4972 0.6180  2 Mn 1.97, 3 Li 2.12-2.14, 1 Co 2.20
O 0.1643 0.1643 0.1133  2 Mn 1.94, 3 Li 2.12-2.16
O 0.1611 0.1611 0.6150  2 Co 1.94, 3 Li 2.14-2.17
O 0.8275 0.8275 0.6177  2 Mn 1.96, 1 Li 2.09
O 0.5026 0.5026 0.8866  2 Mn 1.94, 3 Li 2.11-2.17
O 0.5064 0.5064 0.3815  2 Mn 1.97, 3 Li 2.15-2.16
O 0.8361 0.8361 0.3836  2 Mn 1.96, 3 Li 2.13-2.19, 1 Co 2.19
O 0.1569 0.1569 0.8933  3 Mn 1.99-2.11, 2 Li 2.16
Li 0.6735 0.6735 0.2433  6 O 2.16-2.32
Li 0.3321 0.3321 0.2462  5 O 2.01-2.19
Li 0.0007 0.0007 0.2503  6 O 2.12-2.16
Li 0.3332 0.3332 0.7558  5 O 2.00-2.21
Li 0.3335 0.3335 0.9997  6 O 2.10-2.19
Li 0.6657 0.6657 0.7501  6 O 2.09-2.17
Li 0.9956 0.9956 0.7538  6 O 2.14-2.36
Mn 0.0018 0.0018 0.4996  5 O 1.97-2.20
Mn 0.6722 0.6722 0.9971  5 O 1.82-1.99
Mn 0.9942 0.9942 0.0033  5 O 1.82-1.98
Mn 0.3311 0.3311 0.5010  4 O 1.96
Co 0.6671 0.6671 0.4993  4 O 1.94-1.95